# 1
Computed, not measured: a geometry-optimized BaGePbO4 structure at the meta-GGA r2SCAN level of DFT.

Cell: 6.2557 7.6857 10.2403 Å, 90.00 90.00 90.00°
Closest atoms and distances in Å follow each position.
Fractional coordinates of all 28 atoms:
1 Ba 0.0236 0.2495 0.2134  8 O 2.65-2.93
2 Ba 0.4764 0.7505 0.7134  8 O 2.65-2.93
3 Ba 0.5236 0.2505 0.7866  8 O 2.65-2.93
4 Ba 0.9764 0.7495 0.2866  8 O 2.65-2.93
5 Ge 0.0187 0.9588 0.5901  4 O 1.74-1.78
6 Ge 0.4813 0.0412 0.0901  4 O 1.74-1.78
7 Ge 0.5187 0.5412 0.4099  4 O 1.74-1.78
8 Ge 0.9813 0.4588 0.9099  4 O 1.74-1.78
9 Pb 0.0683 0.4490 0.5912  3 O 2.26-2.31
10 Pb 0.4317 0.5510 0.0912  3 O 2.26-2.31
11 Pb 0.5683 0.0510 0.4088  3 O 2.26-2.31
12 Pb 0.9317 0.9490 0.9088  3 O 2.26-2.31
13 O 0.0652 0.5508 0.0601  1 Ge 1.77
14 O 0.0867 0.7387 0.5555  1 Ge 1.78
15 O 0.1999 0.4837 0.8006  1 Ge 1.78
16 O 0.2420 0.0502 0.6654  1 Ge 1.74
17 O 0.2580 0.9498 0.1654  1 Ge 1.74
18 O 0.3001 0.5163 0.3006  1 Ge 1.78
19 O 0.4133 0.2613 0.0555  1 Ge 1.78
20 O 0.4348 0.4492 0.5601  1 Ge 1.77
21 O 0.5652 0.9492 0.9399  1 Ge 1.77
22 O 0.5867 0.7613 0.4445  1 Ge 1.78
23 O 0.6999 0.0163 0.1994  1 Ge 1.78
24 O 0.7420 0.4498 0.3346  1 Ge 1.74
25 O 0.7580 0.5502 0.8346  1 Ge 1.74
26 O 0.8001 0.9837 0.6994  1 Ge 1.78
27 O 0.9133 0.2387 0.9445  1 Ge 1.78
28 O 0.9348 0.0508 0.4399  1 Ge 1.77

Total magnetic moment: 0.00 μB/cell
VASP energy: -19.351 eV per atom
E_form: -2.130 eV per atom



# 2
Computed, not measured: a geometry-optimized K5As2Au structure at the meta-GGA r2SCAN level of DFT.

Cell: 5.7264 5.7264 19.2852 Å, 90.00 90.00 120.00°
Closest atoms and distances in Å follow each position.
Fractional coordinates of all 16 atoms:
1 K 0.0000 0.0000 0.1473  3 As 3.35
2 K 0.0000 0.0000 0.3527  3 As 3.35
3 K 0.0000 0.0000 0.6473  3 As 3.35
4 K 0.0000 0.0000 0.8527  3 As 3.35
5 K 0.3333 0.6667 0.0494  4 As 3.28-3.58
6 K 0.3333 0.6667 0.2500  3 Au 3.31
7 K 0.3333 0.6667 0.4506  4 As 3.28-3.58
8 K 0.6667 0.3333 0.5494  4 As 3.28-3.58
9 K 0.6667 0.3333 0.7500  3 Au 3.31
10 K 0.6667 0.3333 0.9506  4 As 3.28-3.58
11 As 0.3333 0.6667 0.6209  1 Au 2.49
12 As 0.3333 0.6667 0.8791  1 Au 2.49
13 As 0.6667 0.3333 0.1209  1 Au 2.49
14 As 0.6667 0.3333 0.3791  1 Au 2.49
15 Au 0.3333 0.6667 0.7500  2 As 2.49
16 Au 0.6667 0.3333 0.2500  2 As 2.49

Total magnetic moment: 0.00 μB/cell
VASP energy: -14.327 eV per atom
E_form: -0.566 eV per atom



# 3
Computed, not measured: a geometry-optimized Ba2Cu3P4 structure at the meta-GGA r2SCAN level of DFT.

Cell: 8.3621 8.3621 8.3621 Å, 111.92 84.43 136.37°
Closest atoms and distances in Å follow each position.
Fractional coordinates of all 18 atoms:
1 Ba 0.1084 0.2012 0.3097  9 P 3.21-3.48, 6 Cu 3.25-3.48
2 Ba 0.3916 0.7012 0.0928  9 P 3.21-3.48, 6 Cu 3.25-3.48
3 Ba 0.6084 0.2988 0.9072  9 P 3.21-3.48, 6 Cu 3.25-3.48
4 Ba 0.8916 0.7988 0.6903  9 P 3.21-3.48, 6 Cu 3.25-3.48
5 Cu 0.0321 0.7500 0.2821  4 P 2.32-2.49
6 Cu 0.2500 0.7500 0.5000  4 P 2.49, 2 Cu 2.70
7 Cu 0.4679 0.7500 0.7179  4 P 2.32-2.49
8 Cu 0.5321 0.2500 0.2821  4 P 2.32-2.49
9 Cu 0.7500 0.2500 0.5000  4 P 2.49, 2 Cu 2.70
10 Cu 0.9679 0.2500 0.7179  4 P 2.32-2.49
11 P 0.1215 0.6320 0.7535  1 P 2.25, 4 Cu 2.32-2.49
12 P 0.1619 0.8659 0.0278  1 P 2.25, 2 Cu 2.49
13 P 0.3381 0.3659 0.7040  1 P 2.25, 2 Cu 2.49
14 P 0.3785 0.1320 0.5106  1 P 2.25, 4 Cu 2.32-2.49
15 P 0.6215 0.8680 0.4894  1 P 2.25, 4 Cu 2.32-2.49
16 P 0.6619 0.6341 0.2960  1 P 2.25, 2 Cu 2.49
17 P 0.8381 0.1341 0.9722  1 P 2.25, 2 Cu 2.49
18 P 0.8785 0.3680 0.2465  1 P 2.25, 4 Cu 2.32-2.49

Total magnetic moment: 0.00 μB/cell
VASP energy: -14.176 eV per atom
E_form: -0.671 eV per atom